Na10Ti2Zn6Si3S9O48: relaxed, PBE.

Unit cell a=17.873 b=8.982 c=22.129 alpha=90.36 beta=89.80 gamma=120.08
Fractional coordinates of all 234 atoms:
Si 0.333 0.643 0.582
Si 0.646 0.291 0.751
Si 0.151 0.297 0.752
Si 0.146 0.002 0.251
Si 0.019 0.665 0.420
Si 0.850 0.000 0.756
Si 0.831 0.028 0.083
Si 0.519 0.374 0.921
Si 0.352 0.703 0.255
Zn 0.164 0.648 0.818
Zn 0.002 0.977 0.346
Zn 0.665 0.664 0.515
Zn 0.665 0.668 0.020
Zn 0.671 0.666 0.318
Zn 0.334 0.331 0.983
Zn 0.005 0.018 0.845
Zn 0.827 0.321 0.682
Zn 0.327 0.333 0.183
Zn 0.831 0.317 0.177
Zn 0.331 0.347 0.677
Zn 0.841 0.321 0.996
Zn 0.503 0.001 0.348
Zn 0.833 0.337 0.483
Zn 0.165 0.664 0.015
Zn 0.171 0.683 0.518
Zn 0.505 0.028 0.848
Zn 0.346 0.361 0.494
O 0.905 0.031 0.816
O 0.260 0.857 0.080
O 0.513 0.824 0.700
O 0.615 0.177 0.812
O 0.986 0.161 0.589
O 0.094 0.027 0.589
O 0.733 0.156 0.243
O 0.743 0.137 0.916
O 0.846 0.557 0.528
O 0.114 0.052 0.312
O 0.439 0.351 0.639
O 0.012 0.826 0.695
O 0.567 0.660 0.083
O 0.778 0.692 0.971
O 0.585 0.468 0.975
O 0.927 0.325 0.246
O 0.928 0.558 0.030
O 0.670 0.856 0.576
O 0.901 0.982 0.412
O 0.585 0.708 0.756
O 0.670 0.475 0.082
O 0.348 0.134 0.029
O 0.488 0.813 0.094
O 0.232 0.120 0.640
O 0.661 0.860 0.969
O 0.509 0.820 0.416
O 0.678 0.476 0.362
O 0.353 0.569 0.520
O 0.177 0.481 0.361
O 0.398 0.016 0.807
O 0.428 0.535 0.745
O 0.595 0.164 0.092
O 0.726 0.143 0.531
O 0.821 0.133 0.423
O 0.582 0.471 0.251
O 0.586 0.195 0.411
O 0.425 0.363 0.921
O 0.177 0.877 0.859
O 0.921 0.008 0.097
O 0.223 0.141 0.530
O 0.266 0.845 0.749
O 0.085 0.203 0.412
O 0.226 0.307 0.031
O 0.111 0.166 0.807
O 0.897 0.776 0.305
O 0.561 0.655 0.357
O 0.403 0.820 0.914
O 0.486 0.783 0.809
O 0.897 0.811 0.195
O 0.720 0.302 0.027
O 0.159 0.854 0.970
O 0.991 0.810 0.090
O 0.082 0.983 0.195
O 0.271 0.694 0.968
O 0.514 0.204 0.194
O 0.421 0.835 0.596
O 0.648 0.838 0.249
O 0.245 0.130 0.920
O 0.067 0.470 0.582
O 0.232 0.359 0.141
O 0.772 0.848 0.470
O 0.915 0.812 0.589
O 0.403 0.990 0.408
O 0.407 0.843 0.198
O 0.677 0.875 0.859
O 0.073 0.646 0.359
O 0.245 0.656 0.577
O 0.086 0.971 0.914
O 0.929 0.355 0.919
O 0.277 0.857 0.468
O 0.505 0.179 0.914
O 0.256 0.689 0.256
O 0.817 0.501 0.917
O 0.571 0.487 0.580
O 0.435 0.529 0.140
O 0.588 0.986 0.197
O 0.594 0.015 0.589
O 0.417 0.019 0.090
O 0.007 0.197 0.918
O 0.924 0.487 0.420
O 0.151 0.821 0.256
O 0.401 0.977 0.698
O 0.754 0.823 0.757
O 0.609 0.023 0.306
O 0.818 0.119 0.140
O 0.095 0.176 0.089
O 0.759 0.647 0.861
O 0.009 0.199 0.200
O 0.903 0.817 0.909
O 0.154 0.482 0.752
O 0.245 0.157 0.242
O 0.327 0.118 0.139
O 0.085 0.703 0.475
O 0.654 0.450 0.472
O 0.084 0.461 0.255
O 0.571 0.675 0.468
O 0.943 0.534 0.140
O 0.004 0.831 0.414
O 0.585 0.966 0.912
O 0.322 0.509 0.922
O 0.343 0.516 0.245
O 0.582 0.184 0.694
O 0.740 0.354 0.136
O 0.746 0.335 0.742
O 0.072 0.659 0.078
O 0.744 0.355 0.421
O 0.168 0.861 0.583
O 0.762 0.881 0.360
O 0.903 0.967 0.698
O 0.243 0.347 0.416
O 0.651 0.482 0.756
O 0.345 0.156 0.742
O 0.083 0.706 0.752
O 0.316 0.132 0.419
O 0.432 0.303 0.529
O 0.069 0.466 0.970
O 0.731 0.104 0.640
O 0.261 0.876 0.359
O 0.083 0.191 0.691
O 0.929 0.302 0.529
O 0.758 0.659 0.580
O 0.853 0.131 0.019
O 0.573 0.500 0.860
O 0.841 0.527 0.241
O 0.987 0.195 0.310
O 0.161 0.457 0.471
O 0.842 0.170 0.745
O 0.429 0.562 0.030
O 0.763 0.687 0.250
O 0.984 0.783 0.804
O 0.431 0.507 0.416
O 0.056 0.460 0.859
O 0.492 0.193 0.303
O 0.827 0.536 0.639
O 0.493 0.176 0.590
O 0.752 0.828 0.078
O 0.928 0.537 0.740
O 0.315 0.523 0.641
O 0.426 0.311 0.242
O 0.171 0.486 0.077
O 0.935 0.340 0.639
O 0.268 0.649 0.858
O 0.411 0.788 0.314
O 0.248 0.322 0.745
S 0.164 0.956 0.916
S 0.501 0.711 0.752
S 0.354 0.003 0.749
S 0.016 0.372 0.917
S 0.682 0.324 0.084
S 0.315 0.966 0.415
S 0.647 0.004 0.250
S 0.835 0.637 0.584
S 0.479 0.634 0.086
S 0.849 0.698 0.248
S 0.683 0.032 0.583
S 0.998 0.290 0.253
S 0.664 0.368 0.417
S 0.314 0.665 0.916
S 0.667 0.959 0.915
S 0.166 0.373 0.415
S 0.816 0.664 0.915
S 0.984 0.634 0.085
S 0.483 0.334 0.585
S 0.505 0.295 0.249
S 0.812 0.959 0.417
S 0.183 0.335 0.083
S 0.335 0.033 0.084
S 0.181 0.035 0.585
S 0.520 0.665 0.415
S 0.978 0.323 0.585
S 0.002 0.713 0.749
Na 0.828 0.691 0.082
Na 0.311 0.622 0.741
Na 0.317 0.003 0.248
Na 0.161 0.349 0.585
Na 0.328 0.329 0.834
Na 0.483 0.663 0.918
Na 0.817 0.632 0.746
Na 0.161 0.024 0.416
Na 0.675 0.689 0.163
Na 0.352 0.040 0.917
Na 0.664 0.659 0.660
Na 0.185 0.014 0.754
Na 0.506 0.006 0.498
Na 0.335 0.333 0.331
Na 0.836 0.337 0.831
Na 0.188 0.359 0.251
Na 0.012 0.020 0.997
Na 0.497 0.631 0.254
Na 0.852 0.664 0.416
Na 0.999 0.358 0.753
Na 0.981 0.300 0.417
Na 0.353 0.669 0.421
Na 0.162 0.665 0.161
Na 0.662 0.300 0.918
Na 0.994 0.973 0.500
Na 0.827 0.327 0.331
Na 0.853 0.036 0.920
Na 0.502 0.016 0.000
Na 0.688 0.017 0.750
Na 0.174 0.673 0.661
Ti 0.159 0.673 0.310
Ti 0.502 0.010 0.644
Ti 0.000 0.000 0.147
Ti 0.660 0.646 0.811
Ti 0.995 0.007 0.653
Ti 0.495 0.990 0.151

Summary:
The formation energy comes out at -2.224 eV/atom.